First-principles (PBE) data for a geometry-optimized Na3Sm9B8O27 structure, as listed in Materials Project.

Cell: 8.7538 8.7538 8.4114 Å, 90.00 90.00 120.00°
Positions (direct):
Na 0.0000 0.3362 0.0000
Na 0.3362 0.0000 0.0000
Na 0.6638 0.6638 0.0000
Sm 0.0000 0.2819 0.5000
Sm 0.0000 0.6515 0.2355
Sm 0.0000 0.6515 0.7645
Sm 0.2819 0.0000 0.5000
Sm 0.3485 0.3485 0.2355
Sm 0.3485 0.3485 0.7645
Sm 0.6515 0.0000 0.2355
Sm 0.6515 0.0000 0.7645
Sm 0.7181 0.7181 0.5000
B 0.0000 0.0000 0.2100
B 0.0000 0.0000 0.7900
B 0.3333 0.6667 0.0000
B 0.3333 0.6667 0.3245
B 0.3333 0.6667 0.6755
B 0.6667 0.3333 0.0000
B 0.6667 0.3333 0.3245
B 0.6667 0.3333 0.6755
O 0.0000 0.1584 0.2127
O 0.0000 0.1584 0.7873
O 0.0000 0.7436 0.5000
O 0.1584 0.0000 0.2127
O 0.1584 0.0000 0.7873
O 0.1762 0.5105 0.3176
O 0.1762 0.5105 0.6824
O 0.1792 0.6775 0.0000
O 0.2564 0.2564 0.5000
O 0.3225 0.5017 0.0000
O 0.3343 0.8238 0.3176
O 0.3343 0.8238 0.6824
O 0.4895 0.6657 0.3176
O 0.4895 0.6657 0.6824
O 0.4983 0.8208 0.0000
O 0.5017 0.3225 0.0000
O 0.5105 0.1762 0.3176
O 0.5105 0.1762 0.6824
O 0.6657 0.4895 0.3176
O 0.6657 0.4895 0.6824
O 0.6775 0.1792 0.0000
O 0.7436 0.0000 0.5000
O 0.8208 0.4983 0.0000
O 0.8238 0.3343 0.3176
O 0.8238 0.3343 0.6824
O 0.8416 0.8416 0.2127
O 0.8416 0.8416 0.7873

Summary:
E in eV/atom: -7.932
Energy relative to the elements in meV per atom: -3359
Energy with MP2020 corrections in eV per atom: -8.3262
Total moment in μB per formula unit: 0.0

***

First-principles (PBE) data for a geometry-optimized K2ZnO2 structure, as listed in Materials Project.

Cell: 6.6761 6.6761 6.6761 Å, 125.70 75.87 131.35°
Positions (direct):
K 0.1523 0.1363 0.2887
K 0.3477 0.6363 0.9840
K 0.6523 0.3637 0.0160
K 0.8477 0.8637 0.7113
Zn 0.2500 0.7500 0.5000
Zn 0.7500 0.2500 0.5000
O 0.0955 0.6856 0.7811
O 0.4045 0.1856 0.5902
O 0.5955 0.8144 0.4098
O 0.9045 0.3144 0.2189

Summary:
E in eV/atom: -3.986
Energy relative to the elements in meV per atom: -1586
Energy with MP2020 corrections in eV per atom: -4.2611

***

First-principles (PBE) data for a geometry-optimized RbTaO3 structure, as listed in Materials Project.

Cell: 5.7819 5.7819 7.0975 Å, 90.00 90.00 120.00°
Positions (direct):
Rb 0.0000 0.0000 0.0000
Rb 0.3333 0.6667 0.6667
Rb 0.6667 0.3333 0.3333
Ta 0.0000 0.0000 0.5112
Ta 0.3333 0.6667 0.1779
Ta 0.6667 0.3333 0.8446
O 0.1687 0.3375 0.3223
O 0.1687 0.8313 0.3223
O 0.3292 0.1646 0.6556
O 0.5021 0.0042 0.9890
O 0.5021 0.4979 0.9890
O 0.6625 0.8313 0.3223
O 0.8354 0.1646 0.6556
O 0.8354 0.6708 0.6556
O 0.9958 0.4979 0.9890

Summary:
E in eV/atom: -8.106
Largest piezoelectric modulus in C/m2: 11.4
Energy relative to the elements in meV per atom: -2982
Energy with MP2020 corrections in eV per atom: -8.5180
Total moment in μB per formula unit: 0.0

***

First-principles (PBE) data for a geometry-optimized Mg2TiNb2O8 structure, as listed in Materials Project.

Cell: 9.9916 9.9916 5.2282 Å, 90.22 90.22 34.74°
Positions (direct):
Mg 0.0897 0.3650 0.2440
Mg 0.3650 0.0897 0.7440
Mg 0.6350 0.9103 0.2560
Mg 0.9103 0.6350 0.7560
Ti 0.1295 0.8705 0.7500
Ti 0.8705 0.1295 0.2500
Nb 0.2434 0.5251 0.2600
Nb 0.4749 0.7566 0.2400
Nb 0.5251 0.2434 0.7600
Nb 0.7566 0.4749 0.7400
O 0.0438 0.3368 0.8733
O 0.0741 0.8163 0.4185
O 0.1836 0.9259 0.0815
O 0.2161 0.4125 0.5632
O 0.2998 0.5688 0.9041
O 0.3368 0.0438 0.3733
O 0.4125 0.2161 0.0632
O 0.4312 0.7002 0.5959
O 0.5688 0.2998 0.4041
O 0.5875 0.7839 0.9368
O 0.6632 0.9562 0.6267
O 0.7002 0.4312 0.0959
O 0.7839 0.5875 0.4368
O 0.8164 0.0741 0.9185
O 0.9259 0.1837 0.5815
O 0.9562 0.6632 0.1267

Summary:
E in eV/atom: -8.056
Energy relative to the elements in meV per atom: -3027
Energy with MP2020 corrections in eV per atom: -8.4792
Total moment in μB per formula unit: 2.0